The following is a DFT calculation (PBE) of a relaxed Na2Nb6In2Si7S5O48 crystal.

Cell: 17.804 8.940 23.033 Å, 89.95 90.11 120.17°
Atoms (fractional coordinates):
1 Na 0.997 0.003 0.496
2 Na 0.499 0.003 0.993
3 Na 0.338 0.322 0.831
4 Na 0.823 0.333 0.834
5 Na 0.325 0.318 0.340
6 Na 0.835 0.354 0.340
7 Nb 0.500 0.993 0.359
8 Nb 0.001 0.005 0.857
9 Nb 0.500 0.005 0.643
10 Nb 0.999 0.995 0.143
11 Nb 0.324 0.335 0.689
12 Nb 0.834 0.312 0.688
13 Nb 0.330 0.344 0.191
14 Nb 0.825 0.313 0.191
15 Nb 0.326 0.329 0.972
16 Nb 0.830 0.320 0.474
17 Nb 0.171 0.671 0.022
18 Nb 0.677 0.672 0.021
19 Nb 0.171 0.673 0.525
20 Nb 0.673 0.670 0.523
21 Nb 0.166 0.686 0.312
22 Nb 0.681 0.679 0.309
23 Nb 0.179 0.682 0.807
24 Nb 0.665 0.644 0.810
25 In 0.001 0.980 0.356
26 In 0.501 0.023 0.855
27 In 0.993 0.015 0.648
28 In 0.495 0.986 0.153
29 In 0.833 0.332 0.980
30 In 0.332 0.332 0.480
31 Si 0.141 0.004 0.251
32 Si 0.639 0.992 0.251
33 Si 0.353 0.715 0.252
34 Si 0.860 0.710 0.248
35 Si 0.141 0.287 0.751
36 Si 0.646 0.278 0.751
37 Si 0.361 0.012 0.748
38 Si 0.853 0.994 0.752
39 Si 0.978 0.332 0.580
40 Si 0.689 0.044 0.582
41 Si 0.337 0.622 0.580
42 Si 0.835 0.051 0.081
43 Si 0.190 0.334 0.083
44 Si 0.315 0.678 0.916
45 Si 0.811 0.658 0.915
46 Si 0.525 0.384 0.920
47 Si 0.162 0.941 0.917
48 Si 0.310 0.962 0.418
49 Si 0.816 0.956 0.416
50 Si 0.665 0.383 0.417
51 Si 0.025 0.666 0.420
52 S 0.999 0.288 0.249
53 S 0.500 0.292 0.251
54 S 0.000 0.712 0.752
55 S 0.499 0.709 0.750
56 S 0.479 0.336 0.583
57 S 0.185 0.039 0.584
58 S 0.835 0.617 0.581
59 S 0.477 0.619 0.081
60 S 0.979 0.622 0.084
61 S 0.336 0.051 0.081
62 S 0.683 0.328 0.084
63 S 0.026 0.385 0.915
64 S 0.666 0.948 0.917
65 S 0.167 0.386 0.417
66 S 0.525 0.666 0.415
67 O 0.115 0.067 0.308
68 O 0.596 0.035 0.306
69 O 0.422 0.811 0.305
70 O 0.913 0.767 0.308
71 O 0.480 0.174 0.301
72 O 0.976 0.181 0.301
73 O 0.098 0.163 0.808
74 O 0.617 0.165 0.809
75 O 0.476 0.770 0.802
76 O 0.985 0.796 0.803
77 O 0.410 0.057 0.809
78 O 0.921 0.032 0.807
79 O 0.406 0.977 0.694
80 O 0.881 0.940 0.694
81 O 0.093 0.216 0.691
82 O 0.582 0.182 0.695
83 O 0.017 0.814 0.699
84 O 0.512 0.815 0.697
85 O 0.381 0.817 0.191
86 O 0.906 0.834 0.192
87 O 0.011 0.206 0.196
88 O 0.519 0.228 0.197
89 O 0.082 0.980 0.194
90 O 0.593 0.967 0.189
91 O 0.434 0.358 0.634
92 O 0.932 0.357 0.640
93 O 0.240 0.131 0.637
94 O 0.753 0.133 0.639
95 O 0.320 0.493 0.637
96 O 0.821 0.513 0.634
97 O 0.437 0.518 0.135
98 O 0.935 0.510 0.134
99 O 0.326 0.133 0.134
100 O 0.818 0.145 0.137
101 O 0.256 0.372 0.139
102 O 0.737 0.349 0.137
103 O 0.239 0.305 0.028
104 O 0.721 0.301 0.031
105 O 0.420 0.524 0.030
106 O 0.927 0.558 0.030
107 O 0.345 0.152 0.029
108 O 0.856 0.166 0.024
109 O 0.222 0.144 0.532
110 O 0.733 0.167 0.526
111 O 0.360 0.547 0.524
112 O 0.841 0.535 0.528
113 O 0.428 0.297 0.530
114 O 0.912 0.315 0.526
115 O 0.260 0.690 0.973
116 O 0.767 0.687 0.975
117 O 0.075 0.466 0.971
118 O 0.586 0.497 0.976
119 O 0.151 0.829 0.975
120 O 0.665 0.854 0.972
121 O 0.266 0.846 0.476
122 O 0.759 0.829 0.472
123 O 0.165 0.473 0.472
124 O 0.650 0.472 0.475
125 O 0.087 0.677 0.473
126 O 0.574 0.683 0.470
127 O 0.066 0.638 0.359
128 O 0.570 0.650 0.364
129 O 0.247 0.863 0.361
130 O 0.759 0.860 0.358
131 O 0.172 0.488 0.365
132 O 0.678 0.503 0.360
133 O 0.070 0.492 0.865
134 O 0.565 0.497 0.860
135 O 0.180 0.854 0.861
136 O 0.672 0.858 0.865
137 O 0.257 0.653 0.858
138 O 0.745 0.629 0.861
139 O 0.023 0.843 0.422
140 O 0.520 0.829 0.411
141 O 0.403 0.971 0.403
142 O 0.911 0.983 0.416
143 O 0.087 0.216 0.416
144 O 0.580 0.194 0.404
145 O 0.021 0.213 0.912
146 O 0.522 0.202 0.922
147 O 0.080 0.968 0.906
148 O 0.587 0.958 0.919
149 O 0.411 0.838 0.916
150 O 0.903 0.835 0.904
151 O 0.493 0.186 0.593
152 O 0.983 0.157 0.579
153 O 0.096 0.003 0.592
154 O 0.595 0.023 0.596
155 O 0.418 0.811 0.598
156 O 0.912 0.791 0.585
157 O 0.483 0.790 0.082
158 O 0.993 0.800 0.092
159 O 0.413 0.029 0.084
160 O 0.915 0.021 0.098
161 O 0.096 0.167 0.096
162 O 0.594 0.182 0.090
163 O 0.344 0.173 0.733
164 O 0.849 0.176 0.746
165 O 0.243 0.318 0.745
166 O 0.746 0.327 0.735
167 O 0.423 0.526 0.739
168 O 0.920 0.537 0.747
169 O 0.350 0.522 0.243
170 O 0.843 0.516 0.232
171 O 0.420 0.308 0.242
172 O 0.923 0.318 0.238
173 O 0.243 0.162 0.234
174 O 0.741 0.166 0.245
175 O 0.314 0.492 0.925
176 O 0.820 0.487 0.919
177 O 0.428 0.364 0.929
178 O 0.938 0.361 0.918
179 O 0.251 0.134 0.925
180 O 0.745 0.123 0.918
181 O 0.322 0.153 0.419
182 O 0.812 0.136 0.422
183 O 0.246 0.370 0.416
184 O 0.752 0.369 0.424
185 O 0.437 0.515 0.417
186 O 0.927 0.492 0.425
187 O 0.179 0.503 0.070
188 O 0.681 0.494 0.079
189 O 0.065 0.637 0.076
190 O 0.563 0.638 0.074
191 O 0.255 0.874 0.076
192 O 0.746 0.861 0.073
193 O 0.187 0.875 0.581
194 O 0.677 0.853 0.570
195 O 0.250 0.635 0.572
196 O 0.755 0.638 0.576
197 O 0.073 0.505 0.571
198 O 0.565 0.494 0.577
199 O 0.151 0.832 0.259
200 O 0.651 0.827 0.266
201 O 0.256 0.666 0.269
202 O 0.762 0.684 0.255
203 O 0.077 0.460 0.255
204 O 0.573 0.467 0.263
205 O 0.152 0.475 0.766
206 O 0.650 0.468 0.759
207 O 0.074 0.684 0.764
208 O 0.576 0.692 0.757
209 O 0.262 0.839 0.756
210 O 0.756 0.843 0.771

Raw total energy, eV/atom: -7.37
Energy of formation, kJ/mol of formula units: -17765
Symmetry: P1, No. 1


The following is a DFT calculation (PBE) of a relaxed Na5Y2Si6O24 crystal.

Cell: 9.038 9.354 13.853 Å, 67.54 90.00 90.00°
Atoms (fractional coordinates):
1 Na 0.846 0.569 0.657
2 Na 0.654 0.569 0.157
3 Na 0.154 0.431 0.343
4 Na 0.346 0.431 0.843
5 Na 0.927 0.914 0.219
6 Na 0.573 0.914 0.719
7 Na 0.073 0.086 0.781
8 Na 0.427 0.086 0.281
9 Na 0.500 0.500 0.500
10 Na 0.000 0.500 0.000
11 Y 0.794 0.238 0.616
12 Y 0.706 0.238 0.116
13 Y 0.206 0.762 0.384
14 Y 0.294 0.762 0.884
15 Si 0.833 0.589 0.395
16 Si 0.667 0.589 0.895
17 Si 0.167 0.411 0.605
18 Si 0.333 0.411 0.105
19 Si 0.422 0.182 0.730
20 Si 0.078 0.182 0.230
21 Si 0.578 0.818 0.270
22 Si 0.922 0.818 0.770
23 Si 0.839 0.294 0.346
24 Si 0.661 0.294 0.846
25 Si 0.161 0.706 0.654
26 Si 0.339 0.706 0.154
27 O 0.782 0.190 0.464
28 O 0.718 0.190 0.964
29 O 0.218 0.810 0.536
30 O 0.282 0.810 0.036
31 O 0.998 0.223 0.325
32 O 0.502 0.223 0.825
33 O 0.002 0.777 0.675
34 O 0.498 0.777 0.175
35 O 0.544 0.705 0.596
36 O 0.956 0.705 0.096
37 O 0.456 0.295 0.404
38 O 0.044 0.295 0.904
39 O 0.897 0.463 0.347
40 O 0.603 0.463 0.847
41 O 0.103 0.537 0.653
42 O 0.397 0.537 0.153
43 O 0.722 0.316 0.254
44 O 0.778 0.316 0.754
45 O 0.278 0.684 0.746
46 O 0.222 0.684 0.246
47 O 0.700 0.675 0.310
48 O 0.800 0.675 0.810
49 O 0.300 0.325 0.690
50 O 0.200 0.325 0.190
51 O 0.760 0.499 0.510
52 O 0.740 0.499 0.010
53 O 0.240 0.501 0.490
54 O 0.260 0.501 0.990
55 O 0.962 0.714 0.384
56 O 0.538 0.714 0.884
57 O 0.038 0.286 0.616
58 O 0.462 0.286 0.116
59 O 0.545 0.195 0.641
60 O 0.955 0.195 0.141
61 O 0.455 0.805 0.359
62 O 0.045 0.805 0.859
63 O 0.030 0.976 0.470
64 O 0.470 0.976 0.970
65 O 0.970 0.024 0.530
66 O 0.530 0.024 0.030
67 O 0.340 0.015 0.777
68 O 0.160 0.015 0.277
69 O 0.660 0.985 0.223
70 O 0.840 0.985 0.723
71 O 0.620 0.823 0.554
72 O 0.880 0.823 0.054
73 O 0.380 0.177 0.446
74 O 0.120 0.177 0.946

Raw total energy, eV/atom: -6.81
Energy of formation, kJ/mol of formula units: -8215
Symmetry: P2_1/c, No. 14


The following is a DFT calculation (PBE) of a relaxed Zn2PHO5 crystal.

Cell: 6.062 8.214 8.396 Å, 90.00 90.00 90.00°
Atoms (fractional coordinates):
1 Zn 0.753 0.000 0.500
2 Zn 0.747 0.500 0.000
3 Zn 0.247 0.000 0.500
4 Zn 0.253 0.500 0.000
5 Zn 0.000 0.136 0.863
6 Zn 0.000 0.864 0.137
7 Zn 0.500 0.636 0.637
8 Zn 0.500 0.364 0.363
9 P 0.500 0.250 0.739
10 P 0.500 0.750 0.261
11 P 0.000 0.750 0.761
12 P 0.000 0.250 0.239
13 H 0.000 0.225 0.579
14 H 0.000 0.775 0.421
15 H 0.500 0.725 0.921
16 H 0.500 0.275 0.079
17 O 0.000 0.115 0.624
18 O 0.000 0.885 0.376
19 O 0.500 0.615 0.876
20 O 0.500 0.385 0.124
21 O 0.708 0.734 0.153
22 O 0.708 0.266 0.847
23 O 0.792 0.234 0.347
24 O 0.792 0.766 0.653
25 O 0.000 0.114 0.109
26 O 0.000 0.886 0.891
27 O 0.500 0.614 0.391
28 O 0.500 0.386 0.609
29 O 0.000 0.416 0.147
30 O 0.000 0.584 0.853
31 O 0.500 0.916 0.353
32 O 0.500 0.084 0.647
33 O 0.208 0.234 0.347
34 O 0.208 0.766 0.653
35 O 0.292 0.734 0.153
36 O 0.292 0.266 0.847

Offset from the most stable computed form, eV per atom: 0.009
Raw total energy, eV/atom: -5.74
Energy of formation, kJ/mol of formula units: -1838
Symmetry: Pnnm, No. 58


The following is a DFT calculation (PBE) of a relaxed La2Al9Rh3 crystal.

Cell: 7.662 7.662 9.660 Å, 90.00 90.00 119.29°
Atoms (fractional coordinates):
1 La 0.996 0.670 0.250
2 La 0.004 0.330 0.750
3 La 0.670 0.996 0.250
4 La 0.330 0.004 0.750
5 Al 0.131 0.131 0.250
6 Al 0.869 0.869 0.750
7 Al 0.005 0.335 0.073
8 Al 0.995 0.665 0.927
9 Al 0.995 0.665 0.573
10 Al 0.335 0.005 0.427
11 Al 0.005 0.335 0.427
12 Al 0.665 0.995 0.573
13 Al 0.665 0.995 0.927
14 Al 0.335 0.005 0.073
15 Al 0.335 0.335 0.546
16 Al 0.665 0.665 0.454
17 Al 0.665 0.665 0.046
18 Al 0.335 0.335 0.954
19 Al 0.339 0.544 0.250
20 Al 0.661 0.456 0.750
21 Al 0.544 0.339 0.250
22 Al 0.456 0.661 0.750
23 Rh 0.670 0.330 0.000
24 Rh 0.330 0.670 0.000
25 Rh 0.330 0.670 0.500
26 Rh 0.670 0.330 0.500
27 Rh 0.000 0.000 0.000
28 Rh 0.000 0.000 0.500

Raw total energy, eV/atom: -5.49
Energy of formation, kJ/mol of formula units: -1074
Symmetry: Cmcm, No. 63


The following is a DFT calculation (PBE) of a relaxed MoW3Se2S6 crystal.

Cell: 3.223 3.223 36.382 Å, 90.00 90.00 120.00°
Atoms (fractional coordinates):
1 Mo 0.000 0.000 0.470
2 W 0.000 0.000 0.094
3 W 0.333 0.667 0.282
4 W 0.333 0.667 0.658
5 Se 0.000 0.000 0.705
6 Se 0.000 0.000 0.610
7 S 0.000 0.000 0.325
8 S 0.333 0.667 0.051
9 S 0.333 0.667 0.427
10 S 0.333 0.667 0.137
11 S 0.333 0.667 0.512
12 S 0.000 0.000 0.239

Offset from the most stable computed form, eV per atom: 0.017
Raw total energy, eV/atom: -7.55
Energy of formation, kJ/mol of formula units: -1164
Symmetry: P3m1, No. 156


The following is a DFT calculation (PBE) of a relaxed BaIrO3 crystal.

Cell: 5.794 5.794 14.624 Å, 89.05 89.05 119.72°
Atoms (fractional coordinates):
1 Ba 0.996 0.004 0.750
2 Ba 0.004 0.996 0.250
3 Ba 0.343 0.677 0.904
4 Ba 0.323 0.657 0.596
5 Ba 0.657 0.323 0.096
6 Ba 0.677 0.343 0.404
7 Ir 0.000 0.000 0.000
8 Ir 0.000 0.000 0.500
9 Ir 0.324 0.654 0.153
10 Ir 0.346 0.676 0.347
11 Ir 0.676 0.346 0.847
12 Ir 0.654 0.324 0.653
13 O 0.710 0.890 0.407
14 O 0.110 0.290 0.093
15 O 0.290 0.110 0.593
16 O 0.890 0.710 0.907
17 O 0.100 0.798 0.092
18 O 0.202 0.900 0.408
19 O 0.900 0.202 0.908
20 O 0.798 0.100 0.592
21 O 0.187 0.379 0.447
22 O 0.621 0.813 0.053
23 O 0.813 0.621 0.553
24 O 0.379 0.187 0.947
25 O 0.515 0.485 0.750
26 O 0.485 0.515 0.250
27 O 0.956 0.487 0.742
28 O 0.513 0.044 0.758
29 O 0.044 0.513 0.258
30 O 0.487 0.956 0.242

Raw total energy, eV/atom: -6.68
Energy of formation, kJ/mol of formula units: -953
Symmetry: C2/c, No. 15


> Number 2 is which compound?

Na5Y2Si6O24